[1]
A relaxed structure of CsUTiTe5. Source: the Materials Project, functional PBE.

Geometry as POSCAR:
```
CsUTiTe5
1.0
6.1914 0.0000 0.0000
0.0000 8.5621 0.0000
0.0000 0.0000 10.3423
Cs U Ti Te
2 2 2 10
Direct
0.2500 0.0000 0.2139 Cs
0.7500 0.0000 0.7861 Cs
0.2500 0.5000 0.6699 U
0.7500 0.5000 0.3301 U
0.0000 0.5000 0.0000 Ti
0.5000 0.5000 0.0000 Ti
0.0000 0.2568 0.5000 Te
0.0000 0.7432 0.5000 Te
0.2500 0.2604 0.8897 Te
0.2500 0.5000 0.2262 Te
0.2500 0.7396 0.8897 Te
0.5000 0.2568 0.5000 Te
0.5000 0.7432 0.5000 Te
0.7500 0.2604 0.1103 Te
0.7500 0.5000 0.7738 Te
0.7500 0.7396 0.1103 Te
```

Output
The theoretical density comes out at 6.40 g cm⁻³. As for the symmetry: Pmma, No. 51. The value obtained for the formation energy is -1.03 eV per atom. As for the crystal system: orthorhombic. The MP2020-corrected energy is -5.501 eV/atom.

***

[2]
A relaxed structure of Cs3Tm11Te18. Source: the Materials Project, functional PBE.

Geometry as POSCAR:
```
Cs3Tm11Te18
1.0
13.2931 -2.2732 0.0000
13.2931 2.2732 0.0000
-3.5760 0.0000 19.9217
Cs Tm Te
3 11 18
Direct
0.0000 0.0000 0.0000 Cs
0.3045 0.3045 0.4086 Cs
0.6955 0.6955 0.5914 Cs
0.0324 0.0324 0.7598 Tm
0.0933 0.0933 0.3733 Tm
0.2024 0.2024 0.0698 Tm
0.3374 0.3374 0.1828 Tm
0.3464 0.3464 0.7749 Tm
0.5000 0.5000 0.5000 Tm
0.6536 0.6536 0.2251 Tm
0.6626 0.6626 0.8172 Tm
0.7976 0.7976 0.9302 Tm
0.9067 0.9067 0.6267 Tm
0.9676 0.9676 0.2402 Tm
0.0771 0.0771 0.2186 Te
0.0794 0.0794 0.5154 Te
0.1353 0.1353 0.7212 Te
0.2095 0.2095 0.9220 Te
0.2308 0.2308 0.2223 Te
0.3294 0.3294 0.6213 Te
0.3702 0.3702 0.9290 Te
0.4401 0.4401 0.1427 Te
0.4934 0.4934 0.6499 Te
0.5066 0.5066 0.3501 Te
0.5599 0.5599 0.8573 Te
0.6298 0.6298 0.0710 Te
0.6706 0.6706 0.3787 Te
0.7692 0.7692 0.7777 Te
0.7905 0.7905 0.0780 Te
0.8647 0.8647 0.2788 Te
0.9206 0.9206 0.4846 Te
0.9229 0.9229 0.7814 Te
```

Output
The theoretical density comes out at 6.28 g cm⁻³. As for the symmetry: C2/m, No. 12. The value obtained for the formation energy is -1.60 eV per atom. As for the crystal system: monoclinic. The MP2020-corrected energy is -4.995 eV/atom.

***

[3]
A relaxed structure of CsUTe6. Source: the Materials Project, functional PBE.

Geometry as POSCAR:
```
CsUTe6
1.0
31.6018 0.0000 0.0000
0.0000 8.2827 0.0000
0.0000 0.0000 9.5065
Cs U Te
8 8 48
Direct
0.0386 0.2500 0.0863 Cs
0.2062 0.7500 0.1038 Cs
0.2938 0.2500 0.6038 Cs
0.4614 0.7500 0.5863 Cs
0.5386 0.2500 0.4137 Cs
0.7062 0.7500 0.3962 Cs
0.7938 0.2500 0.8962 Cs
0.9614 0.7500 0.9137 Cs
0.1238 0.2500 0.6191 U
0.1239 0.7500 0.5992 U
0.3761 0.2500 0.0992 U
0.3762 0.7500 0.1191 U
0.6238 0.2500 0.8809 U
0.6239 0.7500 0.9008 U
0.8761 0.2500 0.4008 U
0.8762 0.7500 0.3809 U
0.0312 0.2500 0.4991 Te
0.0523 0.7500 0.3575 Te
0.0582 0.5069 0.7276 Te
0.0582 0.9931 0.7276 Te
0.0937 0.7500 0.9197 Te
0.1215 0.0128 0.3548 Te
0.1215 0.4872 0.3548 Te
0.1518 0.2500 0.9261 Te
0.1897 0.2500 0.3706 Te
0.1902 0.5032 0.7339 Te
0.1902 0.9968 0.7339 Te
0.2176 0.7500 0.5194 Te
0.2824 0.2500 0.0194 Te
0.3098 0.0032 0.2339 Te
0.3098 0.4968 0.2339 Te
0.3103 0.7500 0.8706 Te
0.3482 0.7500 0.4261 Te
0.3785 0.5128 0.8548 Te
0.3785 0.9872 0.8548 Te
0.4063 0.2500 0.4197 Te
0.4418 0.0069 0.2276 Te
0.4418 0.4931 0.2276 Te
0.4477 0.2500 0.8575 Te
0.4688 0.7500 0.9991 Te
0.5312 0.2500 0.0009 Te
0.5523 0.7500 0.1425 Te
0.5582 0.5069 0.7724 Te
0.5582 0.9931 0.7724 Te
0.5937 0.7500 0.5803 Te
0.6215 0.0128 0.1452 Te
0.6215 0.4872 0.1452 Te
0.6518 0.2500 0.5739 Te
0.6897 0.2500 0.1294 Te
0.6902 0.5032 0.7661 Te
0.6902 0.9968 0.7661 Te
0.7176 0.7500 0.9806 Te
0.7824 0.2500 0.4806 Te
0.8098 0.0032 0.2661 Te
0.8098 0.4968 0.2661 Te
0.8103 0.7500 0.6294 Te
0.8482 0.7500 0.0739 Te
0.8785 0.5128 0.6452 Te
0.8785 0.9872 0.6452 Te
0.9063 0.2500 0.0803 Te
0.9418 0.0069 0.2724 Te
0.9418 0.4931 0.2724 Te
0.9477 0.2500 0.6425 Te
0.9688 0.7500 0.5009 Te
```

Output
The theoretical density comes out at 6.07 g cm⁻³. As for the symmetry: Pnma, No. 62. The value obtained for the formation energy is -0.86 eV per atom. As for the crystal system: orthorhombic. The MP2020-corrected energy is -4.743 eV/atom.

***

[4]
A relaxed structure of CsZrUTe5. Source: the Materials Project, functional PBE.

Geometry as POSCAR:
```
CsZrUTe5
1.0
6.4149 0.0000 0.0000
0.0000 8.5996 0.0000
0.0000 0.0000 10.4726
Cs Zr U Te
2 2 2 10
Direct
0.2500 0.0000 0.2138 Cs
0.7500 0.0000 0.7862 Cs
0.0000 0.5000 0.0000 Zr
0.5000 0.5000 0.0000 Zr
0.2500 0.5000 0.6596 U
0.7500 0.5000 0.3404 U
0.0000 0.2587 0.5000 Te
0.0000 0.7413 0.5000 Te
0.2500 0.2550 0.8777 Te
0.2500 0.5000 0.2338 Te
0.2500 0.7450 0.8777 Te
0.5000 0.2587 0.5000 Te
0.5000 0.7413 0.5000 Te
0.7500 0.2550 0.1223 Te
0.7500 0.5000 0.7662 Te
0.7500 0.7450 0.1223 Te
```

Output
The theoretical density comes out at 6.32 g cm⁻³. As for the symmetry: Pmma, No. 51. The value obtained for the formation energy is -1.11 eV per atom. As for the crystal system: orthorhombic. The MP2020-corrected energy is -5.671 eV/atom.